# SrTcO3 (PBE, optimized geometry)
# V = 12.57 A^3/atom
# ΔE_f = -2453 meV per atom
data_SrTcO3
_chemical_formula_sum 'Sr4 Tc4 O12'
_symmetry_space_group_name_H-M 'I m m a'
_symmetry_Int_Tables_number 74
_symmetry_space_group_name_Hall '-I 2b 2'
_cell_length_a 5.6100
_cell_length_b 7.9601
_cell_length_c 5.6306
_cell_angle_alpha 90.00
_cell_angle_beta 90.00
_cell_angle_gamma 90.00
loop_
_atom_site_label
_atom_site_type_symbol
_atom_site_fract_x
_atom_site_fract_y
_atom_site_fract_z
_atom_site_occupancy
Sr1 Sr 0.0000 0.2500 0.0000 1
Tc1 Tc 0.0000 0.0000 0.5000 1
O1 O 0.0000 0.2500 0.4646 1
O2 O 0.2500 0.0169 0.7500 1